1.
Entry from the Materials Project database: crystalline CaAu5 at its relaxed geometry (PBE).

Results
ΔE_f = -0.41 eV per atom
Volume = 20.47 Å³ per atom

a b c (Å): 7.8910 7.8910 7.8910
angles (deg): 90.00 90.00 90.00
Closest atoms and distances in Å follow each position.
Space group F-43m (No. 216)
Unique sites:
Ca1 0.0000 0.0000 0.0000 (multiplicity 4)  16 Au 3.27-3.42
Au1 0.1248 0.1248 0.3752 (multiplicity 16)  6 Au 2.78-2.80
Au2 0.2500 0.2500 0.7500 (multiplicity 4)  12 Au 3.27, 4 Ca 3.42

***

2.
Entry from the Materials Project database: crystalline Ca7Au3 at its relaxed geometry (PBE).

Results
Magnetization = 1.46 μB per cell
ΔE_f = -0.57 eV per atom
Volume = 31.69 Å³ per atom

a b c (Å): 6.7265 20.8126 18.1071
angles (deg): 90.00 90.00 90.00
Closest atoms and distances in Å follow each position.
Space group Pbca (No. 61)
Unique sites:
Ca1 0.0433 0.2168 0.1854 (multiplicity 8)  3 Au 3.05-3.09
Ca2 0.0447 0.1249 0.3749 (multiplicity 8)  3 Au 3.08-3.09
Ca3 0.0522 0.0300 0.1888 (multiplicity 8)  3 Au 3.03-3.07
Ca4 0.2302 0.2173 0.9789 (multiplicity 8)  2 Au 3.07-3.08
Ca5 0.2456 0.1270 0.5828 (multiplicity 8)  3 Au 2.98-2.99
Ca6 0.2482 0.6261 0.7887 (multiplicity 8)  2 Au 3.06-3.07
Ca7 0.2491 0.0279 0.9792 (multiplicity 8)  2 Au 3.06-3.07
Au1 0.0279 0.0192 0.6547 (multiplicity 8)  6 Ca 2.98-3.09
Au2 0.0310 0.7323 0.6592 (multiplicity 8)  6 Ca 2.99-3.09
Au3 0.0329 0.6193 0.4397 (multiplicity 8)  6 Ca 2.99-3.08

***

3.
Entry from the Materials Project database: crystalline Ca5Au4 at its relaxed geometry (PBE).

Results
ΔE_f = -0.76 eV per atom
Volume = 26.96 Å³ per atom

a b c (Å): 8.0991 8.1315 7.8053
angles (deg): 90.00 109.24 90.00
Closest atoms and distances in Å follow each position.
Space group P2_1/c (No. 14)
Unique sites:
Ca1 0.0000 0.0000 0.0000 (multiplicity 2)  6 Au 3.11-3.20
Ca2 0.2558 0.1697 0.7524 (multiplicity 4)  6 Au 2.99-3.11
Ca3 0.3078 0.6788 0.9311 (multiplicity 4)  5 Au 3.15-3.41
Au1 0.0123 0.6320 0.1300 (multiplicity 4)  1 Au 2.91, 6 Ca 3.07-3.15
Au2 0.4175 0.0329 0.1445 (multiplicity 4)  6 Ca 2.99-3.30, 1 Au 3.02

***

4.
Entry from the Materials Project database: crystalline CaCdAu at its relaxed geometry (PBE).

Results
ΔE_f = -0.62 eV per atom
Volume = 24.43 Å³ per atom

a b c (Å): 7.4295 4.4451 8.8765
angles (deg): 90.00 90.00 90.00
Closest atoms and distances in Å follow each position.
Space group Pnma (No. 62)
Unique sites:
Ca1 0.0407 0.2500 0.1805 (multiplicity 4)  5 Au 3.14-3.19, 5 Cd 3.41-3.48
Cd1 0.1424 0.2500 0.5596 (multiplicity 4)  4 Au 2.87-2.97
Au1 0.2487 0.7500 0.3702 (multiplicity 4)  4 Cd 2.87-2.97, 5 Ca 3.14-3.19

***

5.
Entry from the Materials Project database: crystalline CaCd2Au4 at its relaxed geometry (PBE).

Results
ΔE_f = -0.45 eV per atom
Volume = 21.08 Å³ per atom

a b c (Å): 7.2515 7.2515 5.6110
angles (deg): 90.00 90.00 90.00
Closest atoms and distances in Å follow each position.
Space group I4/mmm (No. 139)
Unique sites:
Ca1 0.0000 0.0000 0.0000 (multiplicity 2)  12 Au 3.11-3.45
Cd1 0.0000 0.5000 0.2500 (multiplicity 4)  2 Cd 2.81, 8 Au 2.97
Au1 0.1964 0.1964 0.5000 (multiplicity 8)  4 Au 2.85-3.01, 4 Cd 2.97, 1 Ca 3.11

***

6.
Entry from the Materials Project database: crystalline CaAu2F12 at its relaxed geometry (PBE).

Results
ΔE_f = -1.80 eV per atom
Volume = 16.95 Å³ per atom

a b c (Å): 5.7325 5.7325 7.7391
angles (deg): 90.00 90.00 90.00
Closest atoms and distances in Å follow each position.
Space group P-4m2 (No. 115)
Unique sites:
Ca1 0.0000 0.0000 0.0000 (multiplicity 1)  12 F 2.58-2.87
Au1 0.0000 0.5000 0.2414 (multiplicity 2)  6 F 1.93-1.96
F1 0.0000 0.5000 0.4904 (multiplicity 2)  1 Au 1.93
F2 0.0000 0.5000 0.9879 (multiplicity 2)  1 Au 1.96
F3 0.2225 0.2427 0.2266 (multiplicity 8)  1 Au 1.95

***

7.
Entry from the Materials Project database: crystalline CaGaAu at its relaxed geometry (PBE).

Results
ΔE_f = -0.71 eV per atom
Volume = 21.93 Å³ per atom

a b c (Å): 7.3451 4.6028 7.7847
angles (deg): 90.00 90.00 90.00
Closest atoms and distances in Å follow each position.
Space group Pnma (No. 62)
Unique sites:
Ca1 0.0059 0.2500 0.2005 (multiplicity 4)  6 Au 3.11-3.44, 6 Ga 3.18-3.39
Ga1 0.1804 0.2500 0.5795 (multiplicity 4)  4 Au 2.67-2.85
Au1 0.2069 0.7500 0.4066 (multiplicity 4)  4 Ga 2.67-2.85

***

8.
Entry from the Materials Project database: crystalline Ca3Ge2Au9 at its relaxed geometry (PBE).

Results
ΔE_f = -0.52 eV per atom
Volume = 21.13 Å³ per atom

a b c (Å): 9.6525 13.4363 4.5610
angles (deg): 90.00 90.00 90.00
Closest atoms and distances in Å follow each position.
Space group Pnnm (No. 58)
Unique sites:
Ca1 0.0000 0.0000 0.0000 (multiplicity 2)  8 Au 3.10-3.30
Ca2 0.0036 0.3115 0.0000 (multiplicity 4)  11 Au 3.17-3.44, 3 Ge 3.21-3.39
Ge1 0.1526 0.1819 0.5000 (multiplicity 4)  5 Au 2.52-2.78
Au1 0.0000 0.5000 0.5000 (multiplicity 2)  8 Au 2.79-3.00
Au2 0.1068 0.8396 0.5000 (multiplicity 4)  1 Ge 2.52
Au3 0.2011 0.5040 0.0000 (multiplicity 4)  1 Ge 2.78, 7 Au 2.88-3.00
Au4 0.2218 0.3672 0.5000 (multiplicity 4)  1 Ge 2.58, 3 Au 2.79-2.84
Au5 0.2388 0.6344 0.5000 (multiplicity 4)  2 Ge 2.59, 2 Au 2.90

***

| no. | total energy (hartree per atom) |
| --- | --- |
| 1 | -0.1275 |
| 2 | -0.1087 |
| 3 | -0.1225 |
| 4 | -0.0988 |
| 5 | -0.1055 |
| 6 | -0.1296 |
| 7 | -0.1279 |
| 8 | -0.1366 |